Entry A
# Li2O

A geometry-optimized Li2O structure (PBE, the Materials Project).

Volume: 9.60 Å³ per atom

a = 9.573 Å, b = 10.146 Å, c = 10.104 Å
α = 86.13°, β = 90.00°, γ = 90.33°
Fractional positions:
Li 0.736 0.292 0.433
Li 0.206 0.349 0.639
Li 0.940 0.844 0.969
Li 0.158 0.966 0.145
Li 0.740 0.821 0.194
Li 0.852 0.491 0.546
Li 0.197 0.771 0.853
Li 0.884 0.336 0.247
Li 0.196 0.395 0.209
Li 0.105 0.610 0.532
Li 0.498 0.553 0.952
Li 0.289 0.579 0.060
Li 0.616 0.706 0.524
Li 0.950 0.310 0.474
Li 0.424 0.456 0.760
Li 0.419 0.237 0.646
Li 0.822 0.542 0.172
Li 0.266 0.281 0.965
Li 0.160 0.977 0.924
Li 0.260 0.392 0.423
Li 0.650 0.302 0.130
Li 0.239 0.826 0.621
Li 0.426 0.569 0.422
Li 0.823 0.662 0.394
Li 0.049 0.160 0.879
Li 0.519 0.895 0.109
Li 0.446 0.813 0.351
Li 0.866 0.129 0.684
Li 0.687 0.643 0.748
Li 0.738 0.948 0.797
Li 0.459 0.813 0.857
Li 0.449 0.235 0.397
Li 0.718 0.294 0.812
Li 0.266 0.059 0.627
Li 0.181 0.848 0.395
Li 0.647 0.511 0.303
Li 0.954 0.629 0.735
Li 0.152 0.520 0.831
Li 0.070 0.997 0.707
Li 0.617 0.409 0.643
Li 0.537 0.099 0.197
Li 0.960 0.352 0.004
Li 0.330 0.046 0.386
Li 0.665 0.677 0.028
Li 0.118 0.146 0.425
Li 0.013 0.738 0.177
Li 0.621 0.060 0.448
Li 0.309 0.140 0.157
Li 0.077 0.201 0.205
Li 0.750 0.452 0.948
Li 0.498 0.627 0.188
Li 0.008 0.513 0.339
Li 0.310 0.813 0.099
Li 0.365 0.100 0.836
Li 0.963 0.373 0.715
Li 0.314 0.609 0.621
Li 0.225 0.649 0.326
Li 0.984 0.584 0.011
Li 0.986 0.796 0.530
Li 0.778 0.114 0.242
Li 0.838 0.077 0.005
Li 0.606 0.138 0.976
Li 0.503 0.330 0.917
Li 0.753 0.844 0.620
Li 0.919 0.033 0.463
Li 0.632 0.142 0.641
Li 0.446 0.384 0.166
Li 0.479 0.941 0.665
O 0.131 0.811 0.034
O 0.082 0.431 0.520
O 0.141 0.132 0.045
O 0.455 0.224 0.067
O 0.798 0.306 0.627
O 0.623 0.209 0.315
O 0.334 0.520 0.254
O 0.786 0.258 0.997
O 0.036 0.711 0.363
O 0.017 0.447 0.155
O 0.817 0.463 0.367
O 0.624 0.493 0.114
O 0.610 0.699 0.337
O 0.112 0.968 0.522
O 0.766 0.019 0.576
O 0.957 0.483 0.860
O 0.542 0.189 0.793
O 0.464 0.731 0.030
O 0.820 0.675 0.590
O 0.685 0.993 0.120
O 0.929 0.006 0.845
O 0.300 0.925 0.781
O 0.608 0.813 0.738
O 0.258 0.230 0.318
O 0.347 0.941 0.231
O 0.610 0.480 0.812
O 0.446 0.088 0.535
O 0.940 0.177 0.340
O 0.404 0.426 0.576
O 0.847 0.711 0.080
O 0.319 0.464 0.918
O 0.324 0.724 0.473
O 0.185 0.191 0.739
O 0.145 0.674 0.704

Entry B
# Li2O

A geometry-optimized Li2O structure (PBE, the Materials Project).

Volume: 10.23 Å³ per atom

a = 10.728 Å, b = 10.400 Å, c = 9.371 Å
α = 90.65°, β = 89.06°, γ = 93.60°
Fractional positions:
Li 0.549 0.271 0.792
Li 0.584 0.984 0.259
Li 0.498 0.793 0.729
Li 0.628 0.492 0.878
Li 0.625 0.060 0.897
Li 0.174 0.485 0.477
Li 0.787 0.876 0.176
Li 0.104 0.309 0.358
Li 0.629 0.329 0.327
Li 0.880 0.452 0.399
Li 0.695 0.708 0.823
Li 0.343 0.347 0.663
Li 0.869 0.021 0.010
Li 0.940 0.148 0.223
Li 0.333 0.293 0.419
Li 0.621 0.626 0.407
Li 0.272 0.698 0.342
Li 0.352 0.672 0.103
Li 0.278 0.158 0.945
Li 0.852 0.898 0.756
Li 0.781 0.246 0.449
Li 0.384 0.358 0.899
Li 0.928 0.368 0.163
Li 0.218 0.376 0.093
Li 0.246 0.684 0.735
Li 0.453 0.596 0.897
Li 0.323 0.922 0.872
Li 0.085 0.931 0.659
Li 0.724 0.142 0.151
Li 0.992 0.266 0.564
Li 0.739 0.036 0.677
Li 0.599 0.161 0.563
Li 0.064 0.945 0.081
Li 0.496 0.804 0.397
Li 0.227 0.500 0.903
Li 0.205 0.765 0.979
Li 0.282 0.923 0.503
Li 0.835 0.652 0.282
Li 0.958 0.505 0.811
Li 0.687 0.828 0.569
Li 0.828 0.580 0.588
Li 0.590 0.838 0.964
Li 0.078 0.591 0.074
Li 0.824 0.236 0.858
Li 0.061 0.834 0.289
Li 0.270 0.906 0.209
Li 0.413 0.047 0.091
Li 0.514 0.533 0.148
Li 0.408 0.101 0.733
Li 0.889 0.807 0.454
Li 0.092 0.713 0.522
Li 0.470 0.127 0.383
Li 0.778 0.993 0.385
Li 0.616 0.543 0.648
Li 0.991 0.006 0.430
Li 0.246 0.145 0.591
Li 0.050 0.587 0.288
Li 0.135 0.012 0.870
Li 0.531 0.370 0.532
Li 0.122 0.339 0.726
Li 0.987 0.740 0.898
Li 0.341 0.486 0.255
Li 0.021 0.269 0.924
Li 0.450 0.306 0.110
Li 0.789 0.579 0.010
Li 0.598 0.732 0.186
Li 0.778 0.370 0.683
Li 0.411 0.617 0.507
O 0.940 0.966 0.231
O 0.558 0.695 0.577
O 0.708 0.431 0.489
O 0.246 0.641 0.538
O 0.908 0.548 0.143
O 0.368 0.482 0.041
O 0.491 0.438 0.751
O 0.690 0.194 0.734
O 0.782 0.557 0.784
O 0.107 0.621 0.872
O 0.457 0.183 0.946
O 0.658 0.138 0.360
O 0.881 0.210 0.047
O 0.943 0.632 0.446
O 0.413 0.957 0.323
O 0.714 0.786 0.333
O 0.201 0.310 0.898
O 0.429 0.206 0.570
O 0.620 0.641 0.008
O 0.185 0.307 0.541
O 0.949 0.329 0.745
O 0.982 0.917 0.886
O 0.162 0.449 0.261
O 0.463 0.353 0.299
O 0.449 0.651 0.287
O 0.253 0.006 0.716
O 0.935 0.274 0.370
O 0.238 0.996 0.034
O 0.851 0.954 0.561
O 0.662 0.888 0.778
O 0.374 0.756 0.884
O 0.109 0.890 0.468
O 0.173 0.737 0.177
O 0.666 0.976 0.079

Of them, entry B has the lowest stability.

Entry A
# LiO8

A geometry-optimized LiO8 structure (PBE, the Materials Project).

Volume: 13.71 Å³ per atom

a = 4.573 Å, b = 5.680 Å, c = 5.680 Å
α = 69.48°, β = 68.26°, γ = 68.26°
Fractional positions:
Li 0.009 0.605 0.605
O 0.848 0.277 0.799
O 0.161 0.211 0.740
O 0.161 0.740 0.211
O 0.848 0.799 0.277
O 0.830 0.201 0.201
O 0.175 0.783 0.783
O 0.131 0.142 0.142
O 0.864 0.848 0.848

Entry B
# LiO8

A geometry-optimized LiO8 structure (PBE, the Materials Project).

Volume: 10.94 Å³ per atom

a = 4.343 Å, b = 5.091 Å, c = 5.091 Å
α = 71.43°, β = 71.74°, γ = 71.74°
Fractional positions:
Li 0.500 0.500 0.500
O 0.843 0.296 0.766
O 0.157 0.234 0.704
O 0.157 0.704 0.234
O 0.843 0.766 0.296
O 0.840 0.224 0.224
O 0.160 0.776 0.776
O 0.150 0.163 0.163
O 0.850 0.837 0.837

Of them, entry A has the lowest stability.

Entry A
# Rb2LiOs2O6

A geometry-optimized Rb2LiOs2O6 structure (PBE, the Materials Project).

Volume: 15.26 Å³ per atom

a = 5.500 Å, b = 5.501 Å, c = 7.151 Å
α = 67.39°, β = 67.38°, γ = 59.99°
Fractional positions:
Rb 0.845 0.845 0.464
Rb 0.155 0.155 0.536
Li 0.000 0.000 0.000
Os 0.665 0.665 0.004
Os 0.335 0.335 0.996
O 0.431 0.679 0.840
O 0.050 0.431 0.840
O 0.679 0.050 0.840
O 0.569 0.321 0.160
O 0.321 0.950 0.160
O 0.950 0.569 0.160

Entry B
# Rb2LiOs2O6

A geometry-optimized Rb2LiOs2O6 structure (PBE, the Materials Project).

Volume: 14.04 Å³ per atom

a = 5.657 Å, b = 5.656 Å, c = 6.455 Å
α = 64.09°, β = 64.05°, γ = 60.03°
Fractional positions:
Rb 0.878 0.879 0.365
Rb 0.122 0.121 0.635
Li 0.500 0.500 0.500
Os 0.669 0.669 0.994
Os 0.331 0.331 0.006
O 0.518 0.613 0.791
O 0.077 0.518 0.791
O 0.613 0.077 0.791
O 0.482 0.387 0.209
O 0.387 0.923 0.209
O 0.923 0.482 0.209

Of them, entry B has the lowest stability.

Entry A
# LiSbP4O12

A geometry-optimized LiSbP4O12 structure (PBE, the Materials Project).

Volume: 14.45 Å³ per atom

a = 9.018 Å, b = 7.432 Å, c = 16.562 Å
α = 69.59°, β = 90.00°, γ = 90.00°
Fractional positions:
Li 0.587 0.927 0.072
Li 0.087 0.073 0.428
Li 0.913 0.927 0.572
Li 0.413 0.073 0.928
Sb 0.648 0.332 0.641
Sb 0.852 0.332 0.141
Sb 0.148 0.668 0.859
Sb 0.352 0.668 0.359
P 0.059 0.662 0.216
P 0.271 0.353 0.578
P 0.239 0.763 0.056
P 0.039 0.076 0.693
P 0.739 0.237 0.444
P 0.559 0.338 0.284
P 0.539 0.924 0.807
P 0.229 0.353 0.078
P 0.771 0.647 0.922
P 0.461 0.076 0.193
P 0.441 0.662 0.716
P 0.261 0.763 0.556
P 0.961 0.924 0.307
P 0.761 0.237 0.944
P 0.729 0.647 0.422
P 0.941 0.338 0.784
O 0.379 0.881 0.043
O 0.149 0.796 0.135
O 0.158 0.565 0.292
O 0.042 0.178 0.764
O 0.278 0.392 0.482
O 0.786 0.461 0.401
O 0.406 0.270 0.632
O 0.453 0.463 0.311
O 0.132 0.216 0.614
O 0.626 0.108 0.767
O 0.953 0.537 0.189
O 0.286 0.539 0.099
O 0.778 0.608 0.018
O 0.889 0.061 0.658
O 0.638 0.206 0.519
O 0.658 0.435 0.208
O 0.138 0.794 0.981
O 0.389 0.939 0.842
O 0.649 0.204 0.365
O 0.126 0.892 0.733
O 0.632 0.784 0.886
O 0.879 0.119 0.457
O 0.906 0.730 0.868
O 0.458 0.178 0.264
O 0.542 0.822 0.736
O 0.094 0.270 0.132
O 0.121 0.881 0.543
O 0.368 0.216 0.114
O 0.874 0.108 0.267
O 0.351 0.796 0.635
O 0.611 0.061 0.158
O 0.862 0.206 0.019
O 0.342 0.565 0.792
O 0.362 0.794 0.481
O 0.111 0.939 0.342
O 0.222 0.392 0.982
O 0.714 0.461 0.901
O 0.047 0.463 0.811
O 0.374 0.892 0.233
O 0.868 0.784 0.386
O 0.547 0.537 0.689
O 0.594 0.730 0.368
O 0.214 0.539 0.599
O 0.722 0.608 0.518
O 0.958 0.822 0.236
O 0.842 0.435 0.708
O 0.851 0.204 0.865
O 0.621 0.119 0.957

Entry B
# LiSbP4O12

A geometry-optimized LiSbP4O12 structure (PBE, the Materials Project).

Volume: 13.52 Å³ per atom

a = 7.543 Å, b = 7.543 Å, c = 10.359 Å
α = 66.75°, β = 66.75°, γ = 70.69°
Fractional positions:
Li 0.000 0.500 0.000
Li 0.500 0.000 0.500
Sb 0.043 0.957 0.750
Sb 0.957 0.043 0.250
P 0.273 0.719 0.473
P 0.296 0.318 0.696
P 0.682 0.704 0.804
P 0.281 0.727 0.027
P 0.719 0.273 0.973
P 0.318 0.296 0.196
P 0.704 0.682 0.304
P 0.727 0.281 0.527
O 0.814 0.640 0.163
O 0.301 0.806 0.571
O 0.470 0.697 0.338
O 0.103 0.825 0.410
O 0.863 0.721 0.827
O 0.244 0.498 0.556
O 0.806 0.301 0.071
O 0.175 0.897 0.090
O 0.502 0.756 0.944
O 0.640 0.814 0.663
O 0.303 0.530 0.162
O 0.279 0.137 0.673
O 0.721 0.863 0.327
O 0.697 0.470 0.838
O 0.360 0.186 0.337
O 0.498 0.244 0.056
O 0.825 0.103 0.910
O 0.194 0.699 0.929
O 0.756 0.502 0.444
O 0.137 0.279 0.173
O 0.897 0.175 0.590
O 0.530 0.303 0.662
O 0.699 0.194 0.429
O 0.186 0.360 0.837

Of them, entry A has the lowest stability.